Below is a relaxed structure of Ba2ScOsO6, with properties calculated at the PBE level.

Cell lengths 5.8360, 5.8360, 5.8360 Å; angles 60.00, 60.00, 60.00 degrees
Last column: nearest neighbours and their distance in Å.
Positions (direct):
Ba 0.2500 0.2500 0.2500  12 O 2.92
Ba 0.7500 0.7500 0.7500  12 O 2.92
Sc 0.0000 0.0000 0.0000  6 O 2.13
Os 0.5000 0.5000 0.5000  6 O 2.00
O 0.2578 0.2578 0.7422  1 Os 2.00, 1 Sc 2.13
O 0.2578 0.7422 0.2578  1 Os 2.00, 1 Sc 2.13
O 0.2578 0.7422 0.7422  1 Os 2.00, 1 Sc 2.13
O 0.7422 0.2578 0.2578  1 Os 2.00, 1 Sc 2.13
O 0.7422 0.2578 0.7422  1 Os 2.00, 1 Sc 2.13
O 0.7422 0.7422 0.2578  1 Os 2.00, 1 Sc 2.13

Output
Its space group is Fm-3m, No. 225. For the energy of formation from the pure elements, the calculation gives -2.8806 eV/atom.

***

Below is a relaxed structure of U2Si7Ru12, with properties calculated at the PBE level.

Cell lengths 11.2826, 4.0131, 26.4335 Å; angles 90.00, 90.00, 90.00 degrees
Last column: nearest neighbours and their distance in Å.
Positions (direct):
U 0.1642 0.2500 0.0644  9 Ru 2.84-3.12, 4 Si 3.10-3.13
U 0.2064 0.2500 0.2879  5 Ru 2.68-2.98, 2 Si 2.95
U 0.2936 0.7500 0.7879  5 Ru 2.68-2.98, 2 Si 2.95
U 0.3358 0.7500 0.5644  9 Ru 2.84-3.12, 4 Si 3.10-3.13
U 0.6642 0.2500 0.4356  9 Ru 2.84-3.12, 4 Si 3.10-3.13
U 0.7064 0.2500 0.2121  5 Ru 2.68-2.98, 2 Si 2.95
U 0.7936 0.7500 0.7121  5 Ru 2.68-2.98, 2 Si 2.95
U 0.8358 0.7500 0.9356  9 Ru 2.84-3.12, 4 Si 3.10-3.13
Si 0.0152 0.2500 0.1836  9 Ru 2.42-2.64
Si 0.0326 0.7500 0.4347  8 Ru 2.44-2.65
Si 0.0448 0.2500 0.9398  7 Ru 2.34-2.58
Si 0.0663 0.7500 0.6329  8 Ru 2.43-2.66
Si 0.1735 0.2500 0.7093  7 Ru 2.47-2.63
Si 0.1836 0.2500 0.5012  7 Ru 2.44-2.69
Si 0.2380 0.7500 0.3687  7 Ru 2.35-2.62
Si 0.2620 0.2500 0.8687  7 Ru 2.35-2.62
Si 0.3164 0.7500 0.0012  7 Ru 2.44-2.69
Si 0.3265 0.7500 0.2093  7 Ru 2.47-2.63
Si 0.4337 0.2500 0.1329  8 Ru 2.43-2.66
Si 0.4552 0.7500 0.4398  7 Ru 2.34-2.58
Si 0.4674 0.2500 0.9347  8 Ru 2.44-2.65
Si 0.4848 0.7500 0.6836  9 Ru 2.42-2.64
Si 0.5152 0.2500 0.3164  9 Ru 2.42-2.64
Si 0.5326 0.7500 0.0653  8 Ru 2.44-2.65
Si 0.5448 0.2500 0.5602  7 Ru 2.34-2.58
Si 0.5663 0.7500 0.8671  8 Ru 2.43-2.66
Si 0.6735 0.2500 0.7907  7 Ru 2.47-2.63
Si 0.6836 0.2500 0.9988  7 Ru 2.44-2.69
Si 0.7380 0.7500 0.1313  7 Ru 2.35-2.62
Si 0.7620 0.2500 0.6313  7 Ru 2.35-2.62
Si 0.8164 0.7500 0.4988  7 Ru 2.44-2.69
Si 0.8265 0.7500 0.2907  7 Ru 2.47-2.63
Si 0.9337 0.2500 0.3671  8 Ru 2.43-2.66
Si 0.9552 0.7500 0.0602  7 Ru 2.34-2.58
Si 0.9674 0.2500 0.5653  8 Ru 2.44-2.65
Si 0.9848 0.7500 0.8164  9 Ru 2.42-2.64
Ru 0.0356 0.7500 0.3343  5 Si 2.46-2.65, 1 Ru 2.75
Ru 0.0548 0.7500 0.7298  4 Si 2.42-2.56
Ru 0.0697 0.7500 0.5324  6 Si 2.47-2.66
Ru 0.0801 0.7500 0.1312  3 Si 2.35-2.55
Ru 0.0925 0.7500 0.9925  4 Si 2.37-2.54
Ru 0.1086 0.7500 0.2352  3 Si 2.55-2.64, 2 U 2.68, 3 Ru 2.75-2.77
Ru 0.1190 0.2500 0.8039  4 Si 2.35-2.58
Ru 0.1201 0.7500 0.8878  5 Si 2.43-2.62
Ru 0.1319 0.2500 0.4034  6 Si 2.43-2.65
Ru 0.1806 0.2500 0.6028  4 Si 2.51-2.69, 1 Ru 2.80
Ru 0.2299 0.2500 0.1715  4 Si 2.44-2.52
Ru 0.2475 0.2500 0.9580  5 Si 2.34-2.56
Ru 0.2525 0.7500 0.4580  5 Si 2.34-2.56
Ru 0.2701 0.7500 0.6715  4 Si 2.44-2.52
Ru 0.3194 0.7500 0.1028  4 Si 2.51-2.69, 1 Ru 2.80
Ru 0.3681 0.7500 0.9034  6 Si 2.43-2.65
Ru 0.3799 0.2500 0.3878  5 Si 2.43-2.62
Ru 0.3810 0.7500 0.3039  4 Si 2.35-2.58
Ru 0.3914 0.2500 0.7352  3 Si 2.55-2.64, 2 U 2.68, 3 Ru 2.75-2.77
Ru 0.4075 0.2500 0.4925  4 Si 2.37-2.54
Ru 0.4199 0.2500 0.6312  3 Si 2.35-2.55
Ru 0.4303 0.2500 0.0324  6 Si 2.47-2.66
Ru 0.4452 0.2500 0.2298  4 Si 2.42-2.56
Ru 0.4644 0.2500 0.8343  5 Si 2.46-2.65, 1 Ru 2.75
Ru 0.5356 0.7500 0.1657  5 Si 2.46-2.65, 1 Ru 2.75
Ru 0.5548 0.7500 0.7702  4 Si 2.42-2.56
Ru 0.5697 0.7500 0.9676  6 Si 2.47-2.66
Ru 0.5801 0.7500 0.3688  3 Si 2.35-2.55
Ru 0.5925 0.7500 0.5075  4 Si 2.37-2.54
Ru 0.6086 0.7500 0.2648  3 Si 2.55-2.64, 2 U 2.68, 3 Ru 2.75-2.77
Ru 0.6190 0.2500 0.6961  4 Si 2.35-2.58
Ru 0.6201 0.7500 0.6122  5 Si 2.43-2.62
Ru 0.6319 0.2500 0.0966  6 Si 2.43-2.65
Ru 0.6806 0.2500 0.8972  4 Si 2.51-2.69, 1 Ru 2.80
Ru 0.7299 0.2500 0.3285  4 Si 2.44-2.52
Ru 0.7475 0.2500 0.5420  5 Si 2.34-2.56
Ru 0.7525 0.7500 0.0420  5 Si 2.34-2.56
Ru 0.7701 0.7500 0.8285  4 Si 2.44-2.52
Ru 0.8194 0.7500 0.3972  4 Si 2.51-2.69, 1 Ru 2.80
Ru 0.8681 0.7500 0.5966  6 Si 2.43-2.65
Ru 0.8799 0.2500 0.1122  5 Si 2.43-2.62
Ru 0.8810 0.7500 0.1961  4 Si 2.35-2.58
Ru 0.8914 0.2500 0.7648  3 Si 2.55-2.64, 2 U 2.68, 3 Ru 2.75-2.77
Ru 0.9075 0.2500 0.0075  4 Si 2.37-2.54
Ru 0.9199 0.2500 0.8688  3 Si 2.35-2.55
Ru 0.9303 0.2500 0.4676  6 Si 2.47-2.66
Ru 0.9452 0.2500 0.2702  4 Si 2.42-2.56
Ru 0.9644 0.2500 0.6657  5 Si 2.46-2.65, 1 Ru 2.75

Output
Its space group is Pnma, No. 62. For the energy of formation from the pure elements, the calculation gives -0.5946 eV/atom.

***

Below is a relaxed structure of AlSb2Se2Cl4, with properties calculated at the PBE level.

Cell lengths 9.4279, 11.5860, 11.9281 Å; angles 67.99, 78.16, 72.81 degrees
Last column: nearest neighbours and their distance in Å.
Positions (direct):
Al 0.1075 0.1839 0.4773  4 Cl 2.14-2.17
Al 0.1881 0.6818 0.9567  4 Cl 2.14-2.18
Al 0.8119 0.3182 0.0433  4 Cl 2.14-2.18
Al 0.8925 0.8161 0.5227  4 Cl 2.14-2.17
Sb 0.2942 0.5589 0.4941  2 Se 2.64-2.67
Sb 0.3452 0.9877 0.9290  2 Se 2.66-2.71
Sb 0.4355 0.1468 0.6760  2 Se 2.66-2.69
Sb 0.4401 0.3701 0.8342  3 Se 2.65-2.88
Sb 0.5599 0.6299 0.1658  3 Se 2.65-2.88
Sb 0.5645 0.8532 0.3240  2 Se 2.66-2.69
Sb 0.6548 0.0123 0.0710  2 Se 2.66-2.71
Sb 0.7058 0.4411 0.5059  2 Se 2.64-2.67
Se 0.2401 0.3473 0.7211  3 Sb 2.66-2.97
Se 0.3494 0.7840 0.2640  2 Sb 2.65-2.69
Se 0.3772 0.1487 0.0328  3 Sb 2.66-2.88
Se 0.4887 0.5987 0.5983  2 Sb 2.64-2.67
Se 0.5113 0.4013 0.4017  2 Sb 2.64-2.67
Se 0.6228 0.8513 0.9672  3 Sb 2.66-2.88
Se 0.6506 0.2160 0.7360  2 Sb 2.65-2.69
Se 0.7599 0.6527 0.2789  3 Sb 2.66-2.97
Cl 0.0103 0.8382 0.9801  1 Al 2.14
Cl 0.1057 0.8194 0.5586  1 Al 2.15
Cl 0.1077 0.3833 0.4296  1 Al 2.16
Cl 0.1247 0.0935 0.6710  1 Al 2.17
Cl 0.1247 0.5750 0.8692  1 Al 2.15
Cl 0.2641 0.5541 0.1295  1 Al 2.16
Cl 0.2948 0.0972 0.3751  1 Al 2.14
Cl 0.3760 0.7562 0.8436  1 Al 2.18
Cl 0.6240 0.2438 0.1564  1 Al 2.18
Cl 0.7052 0.9028 0.6249  1 Al 2.14
Cl 0.7359 0.4459 0.8705  1 Al 2.16
Cl 0.8753 0.4250 0.1308  1 Al 2.15
Cl 0.8753 0.9065 0.3290  1 Al 2.17
Cl 0.8923 0.6167 0.5704  1 Al 2.16
Cl 0.8943 0.1806 0.4414  1 Al 2.15
Cl 0.9897 0.1618 0.0199  1 Al 2.14

Output
Its space group is P-1, No. 2. For the energy of formation from the pure elements, the calculation gives -1.1965 eV/atom.

***

Below is a relaxed structure of Na2Sn4O9, with properties calculated at the PBE level.

Cell lengths 5.5037, 5.5037, 14.7461 Å; angles 90.00, 90.00, 120.00 degrees
Last column: nearest neighbours and their distance in Å.
Positions (direct):
Na 0.0000 0.0000 0.1486  6 O 2.32-2.39
Na 0.0000 0.0000 0.3514  6 O 2.32-2.39
Na 0.0000 0.0000 0.6486  6 O 2.32-2.39
Na 0.0000 0.0000 0.8514  6 O 2.32-2.39
Sn 0.3333 0.6667 0.0243  6 O 2.07-2.18
Sn 0.3333 0.6667 0.3124  6 O 2.04-2.23
Sn 0.3333 0.6667 0.5243  6 O 2.07-2.18
Sn 0.3333 0.6667 0.8124  6 O 2.04-2.23
Sn 0.6667 0.3333 0.1876  6 O 2.04-2.23
Sn 0.6667 0.3333 0.4757  6 O 2.07-2.18
Sn 0.6667 0.3333 0.6876  6 O 2.04-2.23
Sn 0.6667 0.3333 0.9757  6 O 2.07-2.18
O 0.0000 0.3398 0.2500  2 Sn 2.04
O 0.0000 0.6602 0.7500  2 Sn 2.04
O 0.0404 0.3978 0.9207  3 Sn 2.07-2.23
O 0.0404 0.6426 0.4207  3 Sn 2.07-2.23
O 0.3398 0.0000 0.2500  2 Sn 2.04
O 0.3398 0.3398 0.7500  2 Sn 2.04
O 0.3574 0.3978 0.4207  3 Sn 2.07-2.23
O 0.3574 0.9596 0.9207  3 Sn 2.07-2.23
O 0.3978 0.0404 0.5793  3 Sn 2.07-2.23
O 0.3978 0.3574 0.0793  3 Sn 2.07-2.23
O 0.6022 0.6426 0.9207  3 Sn 2.07-2.23
O 0.6022 0.9596 0.4207  3 Sn 2.07-2.23
O 0.6426 0.0404 0.0793  3 Sn 2.07-2.23
O 0.6426 0.6022 0.5793  3 Sn 2.07-2.23
O 0.6602 0.0000 0.7500  2 Sn 2.04
O 0.6602 0.6602 0.2500  2 Sn 2.04
O 0.9596 0.3574 0.5793  3 Sn 2.07-2.23
O 0.9596 0.6022 0.0793  3 Sn 2.07-2.23

Output
Its space group is P-3c1, No. 165. For the energy of formation from the pure elements, the calculation gives -2.0449 eV/atom.

***

Below is a relaxed structure of La3UAl8, with properties calculated at the PBE level.

Cell lengths 9.8932, 9.8932, 9.8932 Å; angles 33.40, 33.40, 33.40 degrees
Last column: nearest neighbours and their distance in Å.
Positions (direct):
La 0.0000 0.0000 0.0000  12 Al 3.33-3.38, 4 La 3.50-3.54
La 0.1265 0.1265 0.1265  12 Al 3.28-3.34, 3 U 3.47, 1 La 3.54
La 0.6230 0.6230 0.6230  12 Al 3.33-3.43, 1 U 3.45, 3 La 3.50
U 0.4997 0.4997 0.4997  12 Al 3.30-3.33, 4 La 3.45-3.47
Al 0.0609 0.0609 0.5613  6 Al 2.81-2.89
Al 0.0609 0.5613 0.0609  6 Al 2.81-2.89
Al 0.0671 0.5618 0.5618  6 Al 2.81-2.87
Al 0.3127 0.3127 0.3127  6 Al 2.86-2.89
Al 0.5613 0.0609 0.0609  6 Al 2.81-2.89
Al 0.5618 0.0671 0.5618  6 Al 2.81-2.87
Al 0.5618 0.5618 0.0671  6 Al 2.81-2.87
Al 0.8128 0.8128 0.8128  6 Al 2.81-2.84

Output
Its space group is R3m, No. 160. For the energy of formation from the pure elements, the calculation gives -0.3592 eV/atom.

***

Below is a relaxed structure of MgRh5, with properties calculated at the PBE level.

Cell lengths 5.1489, 5.1489, 6.5904 Å; angles 103.89, 103.89, 31.25 degrees
Last column: nearest neighbours and their distance in Å.
Positions (direct):
Mg 0.0000 0.0000 0.0000  10 Rh 2.66-2.80, 2 Mg 2.77
Rh 0.2744 0.2744 0.0513  3 Mg 2.66-2.72, 9 Rh 2.72-2.82
Rh 0.3381 0.3381 0.6671  10 Rh 2.68-2.77, 2 Mg 2.75
Rh 0.6182 0.6182 0.7185  10 Rh 2.68-2.77, 2 Mg 2.80
Rh 0.6715 0.6715 0.3341  10 Rh 2.66-2.77, 2 Mg 2.79
Rh 0.9464 0.9464 0.3907  11 Rh 2.66-2.82, 1 Mg 2.76

Output
Its space group is Cm, No. 8. For the energy of formation from the pure elements, the calculation gives -0.1226 eV/atom.

***

Below is a relaxed structure of SrIn8Rh2, with properties calculated at the PBE level.

Cell lengths 14.1294, 16.4300, 4.4473 Å; angles 90.00, 90.00, 90.00 degrees
Last column: nearest neighbours and their distance in Å.
Positions (direct):
Sr 0.1576 0.1807 0.0000  13 In 3.45-3.83
Sr 0.3424 0.6807 0.0000  13 In 3.45-3.83
Sr 0.6576 0.3193 0.0000  13 In 3.45-3.83
Sr 0.8424 0.8193 0.0000  13 In 3.45-3.83
In 0.0000 0.0000 0.0000  2 Rh 2.69
In 0.0000 0.5000 0.5000  4 Rh 2.76, 4 In 3.09
In 0.0206 0.8666 0.5000  2 Rh 2.98, 7 In 3.14-3.18
In 0.0503 0.3172 0.5000  2 Rh 2.91, 6 In 2.97-3.25
In 0.1001 0.7464 0.0000  2 Rh 2.65-2.69
In 0.1599 0.4556 0.0000  3 Rh 2.77-2.90
In 0.1660 0.6220 0.5000  2 Rh 2.93, 5 In 2.95-3.22
In 0.1700 0.0110 0.5000  2 Rh 2.85, 2 In 2.95-3.18
In 0.2399 0.8232 0.5000  2 Rh 2.86, 2 In 2.97-3.18
In 0.2601 0.3232 0.5000  2 Rh 2.86, 2 In 2.97-3.18
In 0.3300 0.5110 0.5000  2 Rh 2.85, 2 In 2.95-3.18
In 0.3340 0.1220 0.5000  2 Rh 2.93, 5 In 2.95-3.22
In 0.3401 0.9556 0.0000  3 Rh 2.77-2.90
In 0.3999 0.2464 0.0000  2 Rh 2.65-2.69
In 0.4497 0.8172 0.5000  2 Rh 2.91, 6 In 2.97-3.25
In 0.4794 0.3666 0.5000  2 Rh 2.98, 7 In 3.14-3.18
In 0.5000 0.0000 0.5000  4 Rh 2.76, 4 In 3.09
In 0.5000 0.5000 0.0000  2 Rh 2.69
In 0.5206 0.6334 0.5000  2 Rh 2.98, 7 In 3.14-3.18
In 0.5503 0.1828 0.5000  2 Rh 2.91, 6 In 2.97-3.25
In 0.6001 0.7536 0.0000  2 Rh 2.65-2.69
In 0.6599 0.0444 0.0000  3 Rh 2.77-2.90
In 0.6660 0.8780 0.5000  2 Rh 2.93, 5 In 2.95-3.22
In 0.6700 0.4890 0.5000  2 Rh 2.85, 2 In 2.95-3.18
In 0.7399 0.6768 0.5000  2 Rh 2.86, 2 In 2.97-3.18
In 0.7601 0.1768 0.5000  2 Rh 2.86, 2 In 2.97-3.18
In 0.8300 0.9890 0.5000  2 Rh 2.85, 2 In 2.95-3.18
In 0.8340 0.3780 0.5000  2 Rh 2.93, 5 In 2.95-3.22
In 0.8401 0.5444 0.0000  3 Rh 2.77-2.90
In 0.8999 0.2536 0.0000  2 Rh 2.65-2.69
In 0.9497 0.6828 0.5000  2 Rh 2.91, 6 In 2.97-3.25
In 0.9794 0.1334 0.5000  2 Rh 2.98, 7 In 3.14-3.18
Rh 0.0345 0.5951 0.0000  9 In 2.65-2.93
Rh 0.1539 0.9035 0.0000  9 In 2.69-2.98
Rh 0.3461 0.4035 0.0000  9 In 2.69-2.98
Rh 0.4655 0.0951 0.0000  9 In 2.65-2.93
Rh 0.5345 0.9049 0.0000  9 In 2.65-2.93
Rh 0.6539 0.5965 0.0000  9 In 2.69-2.98
Rh 0.8461 0.0965 0.0000  9 In 2.69-2.98
Rh 0.9655 0.4049 0.0000  9 In 2.65-2.93

Output
Its space group is Pbam, No. 55. For the energy of formation from the pure elements, the calculation gives -0.3458 eV/atom.

***

Below is a relaxed structure of KAl2P2H5O11, with properties calculated at the PBE level.

Cell lengths 9.2893, 9.7969, 9.8908 Å; angles 90.00, 90.00, 90.00 degrees
Last column: nearest neighbours and their distance in Å.
Positions (direct):
K 0.2390 0.0481 0.1532  8 O 2.79-3.13
K 0.2610 0.9519 0.6532  8 O 2.79-3.13
K 0.7390 0.4519 0.8468  8 O 2.79-3.13
K 0.7610 0.5481 0.3468  8 O 2.79-3.13
Al 0.0908 0.2629 0.8555  5 O 1.80-1.93
Al 0.1450 0.5000 0.3075  6 O 1.87-1.99
Al 0.3550 0.5000 0.8075  6 O 1.87-1.99
Al 0.4092 0.7371 0.3555  5 O 1.80-1.93
Al 0.5908 0.2371 0.1445  5 O 1.80-1.93
Al 0.6450 0.0000 0.6925  6 O 1.87-1.99
Al 0.8550 0.0000 0.1925  6 O 1.87-1.99
Al 0.9092 0.7629 0.6445  5 O 1.80-1.93
P 0.0819 0.8035 0.3600  4 O 1.53-1.57
P 0.0827 0.4728 0.6251  4 O 1.53-1.58
P 0.4173 0.5272 0.1251  4 O 1.53-1.58
P 0.4181 0.1965 0.8600  4 O 1.53-1.57
P 0.5819 0.6965 0.6400  4 O 1.53-1.57
P 0.5827 0.0272 0.3749  4 O 1.53-1.58
P 0.9173 0.9728 0.8749  4 O 1.53-1.58
P 0.9181 0.3035 0.1400  4 O 1.53-1.57
H 0.0522 0.1036 0.4252  1 O 0.98
H 0.0613 0.2017 0.5506  1 O 0.98
H 0.1519 0.6696 0.8033  1 O 0.99
H 0.1923 0.4518 0.9937  1 O 0.99
H 0.2207 0.2552 0.3944  1 O 1.00
H 0.2793 0.7448 0.8944  1 O 1.00
H 0.3077 0.5482 0.4937  1 O 0.99
H 0.3481 0.3304 0.3033  1 O 0.99
H 0.4387 0.7983 0.0506  1 O 0.98
H 0.4478 0.8964 0.9252  1 O 0.98
H 0.5522 0.3964 0.5748  1 O 0.98
H 0.5613 0.2983 0.4494  1 O 0.98
H 0.6519 0.8304 0.1967  1 O 0.99
H 0.6923 0.0482 0.0063  1 O 0.99
H 0.7207 0.2448 0.6056  1 O 1.00
H 0.7793 0.7552 0.1056  1 O 1.00
H 0.8077 0.9518 0.5063  1 O 0.99
H 0.8481 0.1696 0.6967  1 O 0.99
H 0.9387 0.7017 0.9494  1 O 0.98
H 0.9478 0.6036 0.0748  1 O 0.98
O 0.0067 0.9232 0.2902  1 P 1.53
O 0.0081 0.5969 0.6935  1 P 1.55
O 0.0278 0.3382 0.6963  1 P 1.58
O 0.0360 0.7934 0.5102  1 P 1.55
O 0.0455 0.4626 0.4743  1 P 1.53
O 0.0505 0.6689 0.2860  1 P 1.54
O 0.1196 0.1430 0.4912  2 H 0.98
O 0.1976 0.4190 0.8989  1 H 0.99
O 0.2437 0.3197 0.3190  2 H 0.99-1.00
O 0.2460 0.8402 0.3591  1 P 1.57
O 0.2485 0.4798 0.6436  1 P 1.55, 1 H 1.72
O 0.2515 0.5202 0.1436  1 P 1.55, 1 H 1.72
O 0.2540 0.1598 0.8591  1 P 1.57
O 0.2563 0.6803 0.8190  2 H 0.99-1.00
O 0.3024 0.5810 0.3989  1 H 0.99
O 0.3804 0.8570 0.9912  2 H 0.98
O 0.4495 0.3311 0.7860  1 P 1.54
O 0.4545 0.5374 0.9743  1 P 1.53
O 0.4640 0.2066 0.0102  1 P 1.55
O 0.4722 0.6618 0.1963  1 P 1.58
O 0.4919 0.4031 0.1935  1 P 1.55
O 0.4933 0.0768 0.7902  1 P 1.53
O 0.5067 0.5768 0.7098  1 P 1.53
O 0.5081 0.9031 0.3065  1 P 1.55
O 0.5278 0.1618 0.3037  1 P 1.58
O 0.5360 0.7066 0.4898  1 P 1.55
O 0.5455 0.0374 0.5257  1 P 1.53
O 0.5505 0.8311 0.7140  1 P 1.54
O 0.6196 0.3570 0.5088  2 H 0.98
O 0.6976 0.0810 0.1011  1 H 0.99
O 0.7437 0.1803 0.6810  2 H 0.99-1.00
O 0.7460 0.6598 0.6409  1 P 1.57
O 0.7485 0.0202 0.3564  1 P 1.55, 1 H 1.72
O 0.7515 0.9798 0.8564  1 P 1.55, 1 H 1.72
O 0.7540 0.3402 0.1409  1 P 1.57
O 0.7563 0.8197 0.1810  2 H 0.99-1.00
O 0.8024 0.9190 0.6011  1 H 0.99
O 0.8804 0.6430 0.0088  2 H 0.98
O 0.9495 0.1689 0.2140  1 P 1.54
O 0.9545 0.9626 0.0257  1 P 1.53
O 0.9640 0.2934 0.9898  1 P 1.55
O 0.9722 0.8382 0.8037  1 P 1.58
O 0.9919 0.0969 0.8065  1 P 1.55
O 0.9933 0.4232 0.2098  1 P 1.53

Output
Its space group is P2_12_12_1, No. 19. For the energy of formation from the pure elements, the calculation gives -2.4137 eV/atom.